A plane-wave DFT calculation with PBE was carried out for a relaxed Tm2B6Os crystal.

Lattice parameters (Å, degrees): 3.6238 9.0814 11.4586 90.00 90.00 90.00
Positions (direct):
Tm (0.0000, 0.3212, 0.4137)
Tm (0.0000, 0.6788, 0.5863)
Tm (0.0000, 0.8212, 0.0863)
Tm (0.0000, 0.1788, 0.9137)
Tm (0.0000, 0.9450, 0.3737)
Tm (0.0000, 0.0550, 0.6263)
Tm (0.0000, 0.4450, 0.1263)
Tm (0.0000, 0.5550, 0.8737)
B (0.5000, 0.5539, 0.4335)
B (0.5000, 0.4461, 0.5665)
B (0.5000, 0.0539, 0.0665)
B (0.5000, 0.9461, 0.9335)
B (0.5000, 0.7492, 0.4209)
B (0.5000, 0.2508, 0.5791)
B (0.5000, 0.2492, 0.0791)
B (0.5000, 0.7508, 0.9209)
B (0.5000, 0.7923, 0.2670)
B (0.5000, 0.2077, 0.7330)
B (0.5000, 0.2923, 0.2330)
B (0.5000, 0.7077, 0.7670)
B (0.5000, 0.6322, 0.1849)
B (0.5000, 0.3678, 0.8151)
B (0.5000, 0.1322, 0.3151)
B (0.5000, 0.8678, 0.6849)
B (0.5000, 0.9829, 0.2133)
B (0.5000, 0.0171, 0.7867)
B (0.5000, 0.4829, 0.2867)
B (0.5000, 0.5171, 0.7133)
B (0.5000, 0.6090, 0.0302)
B (0.5000, 0.3910, 0.9698)
B (0.5000, 0.1090, 0.4698)
B (0.5000, 0.8910, 0.5302)
Os (0.0000, 0.6382, 0.3213)
Os (0.0000, 0.3618, 0.6787)
Os (0.0000, 0.1382, 0.1787)
Os (0.0000, 0.8618, 0.8213)

Final energy (eV/atom): -7.399
ΔE_f (eV per atom): -0.704